1:
# Nb2CuS4 GGA-PBE optimized geometry
# Space-group type ... P3m1
# Volume ... 131.5 Å³/cell
data_Nb2CuS4
_space_group_name_H-M_alt 'P 1'
_space_group_IT_number 1
_cell_length_a 3.3865
_cell_length_b 3.3865
_cell_length_c 13.2389
_cell_angle_alpha 90.00
_cell_angle_beta 90.00
_cell_angle_gamma 120.00
loop_
_space_group_symop_operation_xyz
'x,y,z'
loop_
_atom_site_label
_atom_site_fract_x
_atom_site_fract_y
_atom_site_fract_z
_atom_site_occupancy
Nb1 0.0000 0.0000 0.0000 1
Nb2 0.3333 0.6667 0.5033 1
Cu1 0.3333 0.6667 0.2858 1
S1 0.0000 0.0000 0.3816 1
S2 0.0000 0.0000 0.6185 1
S3 0.3333 0.6667 0.1189 1
S4 0.3333 0.6667 0.8857 1



2:
# Nb2CuS4 GGA-PBE optimized geometry
# Space-group type ... P-3m1
# Volume ... 143.5 Å³/cell
data_Nb2CuS4
_space_group_name_H-M_alt 'P 1'
_space_group_IT_number 1
_cell_length_a 3.6042
_cell_length_b 3.6042
_cell_length_c 12.7552
_cell_angle_alpha 90.00
_cell_angle_beta 90.00
_cell_angle_gamma 120.00
loop_
_space_group_symop_operation_xyz
'x,y,z'
loop_
_atom_site_label
_atom_site_fract_x
_atom_site_fract_y
_atom_site_fract_z
_atom_site_occupancy
Nb1 0.3333 0.6667 0.2811 1
Nb2 0.6667 0.3333 0.7189 1
Cu1 0.0000 0.0000 0.0000 1
S1 0.3333 0.6667 0.1016 1
S2 0.3333 0.6667 0.6240 1
S3 0.6667 0.3333 0.3760 1
S4 0.6667 0.3333 0.8984 1



Here are the energies relative to the best structure, in meV/atom: 1 0; 2 447.